A relaxed structure of Ba2Cd, computed with PBE-GGA.

Cell and atoms, written as POSCAR:
```
Ba2Cd
1.0
4.316 0.000 0.000
0.000 4.316 0.000
0.000 0.000 15.323
Ba Cd
4 2
Cartesian
0.000 0.000 2.033
0.000 0.000 13.289
2.158 2.158 5.628
2.158 2.158 9.695
0.000 0.000 7.661
2.158 2.158 0.000
```

Output
Crystal system: tetragonal
Formation energy from the elements (meV per atom): -238
Symmetry: I4/mmm (139)

=====

A relaxed structure of Al2CdS4, computed with PBE-GGA.

Cell and atoms, written as POSCAR:
```
Al2CdS4
1.0
5.639 0.000 0.000
0.000 5.639 0.000
0.000 0.000 10.256
Al Cd S
4 2 8
Cartesian
0.000 0.000 0.000
0.000 2.820 2.564
2.820 0.000 7.692
2.820 2.820 5.128
0.000 0.000 5.128
2.820 2.820 0.000
1.238 4.310 1.376
1.330 1.238 8.880
1.490 1.582 3.752
1.582 4.150 6.503
4.058 1.490 6.503
4.150 4.058 3.752
4.310 4.402 8.880
4.402 1.330 1.376
```

Output
Crystal system: tetragonal
Formation energy from the elements (meV per atom): -1255
Maximum piezoelectric response (C/m²): 0.226
Symmetry: I-4 (82)

=====

A relaxed structure of Sr2YTi2O7, computed with PBE-GGA.

Cell and atoms, written as POSCAR:
```
Sr2YTi2O7
1.0
-12.807 2.638 2.752
12.807 -2.638 2.752
12.807 2.638 -2.752
Sr Y Ti O
4 2 4 14
Cartesian
4.715 0.362 0.000
8.092 0.362 0.000
4.715 2.276 2.752
8.092 2.276 2.752
0.000 0.000 0.060
12.807 0.000 0.060
1.998 -0.031 2.814
10.809 -0.031 2.814
1.998 2.669 0.062
10.809 2.669 0.062
11.278 1.317 -1.312
14.200 1.321 -1.315
11.415 -1.317 1.437
14.337 -1.320 1.440
6.404 1.400 -1.351
6.404 1.238 1.401
3.784 -0.101 2.828
9.024 -0.101 2.828
-1.392 1.317 1.437
14.200 1.317 1.437
1.529 1.320 1.440
11.278 1.320 1.440
3.784 2.739 0.076
9.024 2.739 0.076
```

Output
Crystal system: orthorhombic
Formation energy from the elements (meV per atom): -3352
Size of the total moment (μB/f.u.): 0.2
Symmetry: Ima2 (46)

=====

A relaxed structure of KAs, computed with PBE-GGA.

Cell and atoms, written as POSCAR:
```
KAs
1.0
4.753 0.000 0.000
0.000 7.894 0.000
0.000 0.000 8.561
K As
4 4
Cartesian
0.927 1.973 0.000
0.927 1.973 4.280
3.825 5.920 0.000
3.825 5.920 4.280
1.459 4.643 2.140
1.459 7.198 6.420
3.293 0.696 2.140
3.293 3.251 6.420
```

Output
Crystal system: orthorhombic
Polymorph energy (0 for the lowest one) (meV/atom): 848
Formation energy from the elements (meV per atom): 395
Size of the total moment (μB/f.u.): 2.0
Symmetry: Pbcm (57)

=====

A relaxed structure of KZr12I28, computed with PBE-GGA.

Cell and atoms, written as POSCAR:
```
KZr12I28
1.0
53.288 0.000 0.000
0.000 8.289 7.734
0.000 -8.289 7.734
K Zr I
4 48 112
Cartesian
2.071 -4.145 7.734
10.058 4.145 8.789
43.229 -4.145 8.789
51.216 4.145 7.734
1.864 -6.387 9.104
1.864 -1.902 9.104
1.955 -4.145 5.053
4.563 -4.145 9.746
4.671 -5.940 6.879
4.671 -2.349 6.879
7.951 4.145 10.804
8.463 2.405 6.401
8.463 5.884 6.401
11.081 4.145 5.571
12.019 1.640 8.822
12.019 6.650 8.822
15.342 -5.853 8.797
15.342 -2.437 8.797
15.645 -4.145 6.164
17.869 -4.145 9.558
18.274 -6.082 6.848
18.274 -2.207 6.848
21.754 2.243 6.853
21.754 6.046 6.853
22.349 4.145 9.414
24.316 4.145 6.268
24.904 2.226 8.833
24.904 6.063 8.833
28.384 -6.063 8.833
28.384 -2.226 8.833
28.972 -4.145 6.268
30.938 -4.145 9.414
31.533 -6.046 6.853
31.533 -2.243 6.853
35.014 2.207 6.848
35.014 6.082 6.848
35.419 4.145 9.558
37.643 4.145 6.164
37.945 2.437 8.797
37.945 5.853 8.797
41.269 -6.650 8.822
41.269 -1.640 8.822
42.207 -4.145 5.571
44.824 -5.884 6.401
44.824 -2.405 6.401
45.337 -4.145 10.804
48.616 2.349 6.879
48.616 5.940 6.879
48.725 4.145 9.746
51.333 4.145 5.053
51.424 1.902 9.104
51.424 6.387 9.104
0.000 0.000 2.681
0.000 0.000 10.415
0.116 4.145 10.197
0.144 -6.218 6.481
0.144 -2.071 6.481
3.327 2.117 3.805
3.327 -2.117 11.539
3.391 0.115 7.830
3.391 8.174 7.830
3.612 -2.028 4.108
3.612 2.028 11.841
6.483 4.145 5.179
6.568 -6.150 9.084
6.568 -2.139 9.084
6.691 0.000 5.555
6.691 0.000 13.289
6.814 -4.145 5.689
6.819 2.189 8.978
6.819 6.100 8.978
9.923 2.069 3.958
9.937 0.092 7.706
9.923 -2.069 11.691
9.937 8.197 7.706
10.088 -2.085 3.551
10.088 2.085 11.285
13.286 -4.145 10.139
13.281 2.186 6.357
13.281 6.103 6.357
13.293 4.145 9.903
13.506 0.223 2.482
13.506 -0.223 10.216
13.510 -6.102 6.537
13.510 -2.187 6.537
16.696 -0.002 0.143
16.693 2.175 3.615
16.696 0.002 7.877
16.693 -2.175 11.349
16.804 -2.160 4.351
16.804 2.160 12.085
19.843 4.145 5.630
19.976 -6.128 9.160
19.979 0.035 5.647
19.976 -2.161 9.160
19.979 -0.035 13.381
20.132 -4.145 5.602
20.155 2.195 9.231
20.155 6.094 9.231
23.209 2.184 4.376
23.209 -2.184 12.110
23.323 0.037 0.096
23.323 -0.037 7.830
23.450 -2.182 3.578
23.450 2.182 11.312
26.478 -4.145 10.049
26.509 2.196 6.459
26.509 6.094 6.459
26.644 0.000 2.281
26.644 0.000 10.014
26.779 -6.094 6.459
26.779 -2.196 6.459
26.809 4.145 10.049
29.837 2.182 3.578
29.837 -2.182 11.312
29.965 -0.037 0.096
29.965 0.037 7.830
30.079 -2.184 4.376
30.079 2.184 12.110
33.132 -6.094 9.231
33.132 -2.195 9.231
33.156 4.145 5.602
33.309 -0.035 5.647
33.312 2.161 9.160
33.309 0.035 13.381
33.312 6.128 9.160
33.445 -4.145 5.630
36.484 2.160 4.351
36.484 -2.160 12.085
36.591 0.002 0.143
36.595 -2.175 3.615
36.591 -0.002 7.877
36.595 2.175 11.349
39.777 2.187 6.537
39.777 6.102 6.537
39.781 -0.223 2.482
39.781 0.223 10.216
40.006 -6.103 6.357
40.006 -2.186 6.357
39.995 -4.145 9.903
40.001 4.145 10.139
43.200 2.085 3.551
43.200 -2.085 11.285
43.350 -8.197 7.706
43.364 -2.069 3.958
43.350 -0.092 7.706
43.364 2.069 11.691
46.468 -6.100 8.978
46.468 -2.189 8.978
46.473 4.145 5.689
46.596 0.000 5.555
46.596 0.000 13.289
46.720 2.139 9.084
46.720 6.150 9.084
46.804 -4.145 5.179
49.676 2.028 4.108
49.676 -2.028 11.841
49.896 -8.174 7.830
49.896 -0.115 7.830
49.960 -2.117 3.805
49.960 2.117 11.539
53.144 2.071 6.481
53.144 6.218 6.481
53.171 -4.145 10.197
```

Output
Crystal system: orthorhombic
Formation energy from the elements (meV per atom): -971
Size of the total moment (μB/f.u.): 3.0
Symmetry: Aem2 (39)

=====

A relaxed structure of Er2TlCd, computed with PBE-GGA.

Cell and atoms, written as POSCAR:
```
Er2TlCd
1.0
7.481 0.000 0.000
0.000 7.481 0.000
0.000 0.000 7.481
Er Tl Cd
8 4 4
Cartesian
1.870 1.870 1.870
1.870 1.870 5.611
1.870 5.611 1.870
1.870 5.611 5.611
5.611 1.870 1.870
5.611 1.870 5.611
5.611 5.611 1.870
5.611 5.611 5.611
0.000 0.000 0.000
0.000 3.740 3.740
3.740 0.000 3.740
3.740 3.740 0.000
0.000 0.000 3.740
0.000 3.740 0.000
3.740 0.000 0.000
3.740 3.740 3.740
```

Output
Crystal system: cubic
Formation energy from the elements (meV per atom): -320
Symmetry: Fm-3m (225)

=====

A relaxed structure of Tl2GaCu3Se4, computed with PBE-GGA.

Cell and atoms, written as POSCAR:
```
Tl2GaCu3Se4
1.0
2.836 -6.991 0.000
2.836 6.991 0.000
0.000 0.000 5.652
Tl Ga Cu Se
2 1 3 4
Cartesian
1.418 3.496 1.405
1.418 -3.496 4.247
2.836 0.000 0.000
0.000 0.000 0.000
0.000 0.000 2.826
2.836 0.000 2.826
1.440 1.533 4.263
1.440 -1.533 1.389
4.231 1.533 1.389
4.231 -1.533 4.263
```

Output
Crystal system: orthorhombic
Formation energy from the elements (meV per atom): -502
Size of the total moment (μB/f.u.): 0.0
Symmetry: C222 (21)

=====

A relaxed structure of LiMg14BiO16, computed with PBE-GGA.

Cell and atoms, written as POSCAR:
```
LiMg14BiO16
1.0
8.677 0.000 0.000
0.000 8.677 0.000
0.000 0.000 4.370
Li Mg Bi O
1 14 1 16
Cartesian
0.000 0.000 0.000
0.000 2.093 2.185
0.000 4.339 0.000
0.000 6.584 2.185
2.022 4.339 2.185
2.055 2.055 0.000
2.055 6.622 0.000
2.093 0.000 2.185
4.339 0.000 0.000
4.339 2.022 2.185
4.339 6.655 2.185
6.584 0.000 2.185
6.622 2.055 0.000
6.622 6.622 0.000
6.655 4.339 2.185
4.339 4.339 0.000
0.000 0.000 2.185
0.000 2.223 0.000
0.000 4.339 2.185
0.000 6.455 0.000
2.029 4.339 0.000
2.189 2.189 2.185
2.189 6.489 2.185
2.223 0.000 0.000
4.339 0.000 2.185
4.339 2.029 0.000
4.339 4.339 2.185
4.339 6.649 0.000
6.455 0.000 0.000
6.489 2.189 2.185
6.489 6.489 2.185
6.649 4.339 0.000
```

Output
Crystal system: tetragonal
Formation energy from the elements (meV per atom): -2820
Size of the total moment (μB/f.u.): 0.0
Symmetry: P4/mmm (123)